1.
First-principles (r²SCAN) data for crystalline Cs3ErO3 at its relaxed geometry, as listed in Materials Project.

Unit cell a=8.190 b=7.527 c=12.076 alpha=90.00 beta=95.19 gamma=90.00
Positions (direct):
Cs 0.058 0.121 0.156
Cs 0.058 0.379 0.656
Cs 0.351 0.161 0.923
Cs 0.351 0.339 0.423
Cs 0.379 0.682 0.809
Cs 0.379 0.818 0.309
Cs 0.621 0.182 0.691
Cs 0.621 0.318 0.191
Cs 0.649 0.661 0.577
Cs 0.649 0.839 0.077
Cs 0.942 0.621 0.344
Cs 0.942 0.879 0.844
Er 0.156 0.587 0.068
Er 0.156 0.913 0.568
Er 0.844 0.087 0.432
Er 0.844 0.413 0.932
O 0.104 0.055 0.413
O 0.104 0.445 0.913
O 0.246 0.657 0.547
O 0.246 0.843 0.047
O 0.295 0.053 0.692
O 0.295 0.447 0.192
O 0.705 0.553 0.808
O 0.705 0.947 0.308
O 0.754 0.157 0.953
O 0.754 0.343 0.453
O 0.896 0.555 0.087
O 0.896 0.945 0.587

Calculated values
**Total magnetization**: 0.00 μB per atom
**Space-group type**: P2_1/c
**Energy relative to the lowest polymorph listed for this composition**: 0.000 eV per atom



2.
First-principles (r²SCAN) data for crystalline SmMg3Ni8 at its relaxed geometry, as listed in Materials Project.

Unit cell a=4.844 b=4.844 c=8.463 alpha=106.62 beta=106.62 gamma=60.00
Positions (direct):
Sm 0.000 0.000 0.000
Mg 0.383 0.383 0.152
Mg 0.502 0.502 0.508
Mg 0.871 0.871 0.616
Ni 0.187 0.187 0.564
Ni 0.436 0.436 0.806
Ni 0.436 0.934 0.807
Ni 0.444 0.938 0.321
Ni 0.689 0.689 0.067
Ni 0.934 0.436 0.807
Ni 0.938 0.444 0.321
Ni 0.938 0.938 0.321

Calculated values
**Total magnetization**: 0.16 μB per atom
**Space-group type**: Cm



3.
First-principles (r²SCAN) data for crystalline TiTe3O8 at its relaxed geometry, as listed in Materials Project.

Unit cell a=9.536 b=9.536 c=9.536 alpha=109.47 beta=109.47 gamma=109.47
Positions (direct):
Ti 0.000 0.000 0.000
Ti 0.000 0.500 0.500
Ti 0.500 0.000 0.500
Ti 0.500 0.500 0.000
Te 0.040 0.290 0.750
Te 0.210 0.250 0.460
Te 0.250 0.460 0.210
Te 0.250 0.960 0.710
Te 0.290 0.750 0.040
Te 0.460 0.210 0.250
Te 0.540 0.790 0.750
Te 0.710 0.250 0.960
Te 0.750 0.040 0.290
Te 0.750 0.540 0.790
Te 0.790 0.750 0.540
Te 0.960 0.710 0.250
O 0.000 0.156 0.500
O 0.000 0.844 0.500
O 0.032 0.461 0.695
O 0.039 0.071 0.234
O 0.071 0.234 0.039
O 0.156 0.500 0.000
O 0.163 0.429 0.468
O 0.195 0.734 0.663
O 0.234 0.039 0.071
O 0.266 0.337 0.805
O 0.305 0.968 0.539
O 0.337 0.805 0.266
O 0.344 0.344 0.344
O 0.429 0.468 0.163
O 0.461 0.695 0.032
O 0.468 0.163 0.429
O 0.500 0.000 0.156
O 0.500 0.000 0.844
O 0.532 0.837 0.571
O 0.539 0.305 0.968
O 0.571 0.532 0.837
O 0.656 0.656 0.656
O 0.663 0.195 0.734
O 0.695 0.032 0.461
O 0.734 0.663 0.195
O 0.766 0.961 0.929
O 0.805 0.266 0.337
O 0.837 0.571 0.532
O 0.844 0.500 0.000
O 0.929 0.766 0.961
O 0.961 0.929 0.766
O 0.968 0.539 0.305

Calculated values
**Total magnetization**: 0.00 μB per atom
**Space-group type**: Ia-3



4.
First-principles (r²SCAN) data for crystalline U2In8Rh at its relaxed geometry, as listed in Materials Project.

Unit cell a=4.646 b=4.646 c=12.174 alpha=90.00 beta=90.00 gamma=90.00
Positions (direct):
U 0.000 0.000 0.191
U 0.000 0.000 0.809
In 0.000 0.500 0.000
In 0.000 0.500 0.378
In 0.000 0.500 0.622
In 0.500 0.000 0.000
In 0.500 0.000 0.378
In 0.500 0.000 0.622
In 0.500 0.500 0.191
In 0.500 0.500 0.809
Rh 0.000 0.000 0.500

Calculated values
**Total magnetization**: 0.52 μB per atom
**Space-group type**: P4/mmm



5.
First-principles (r²SCAN) data for crystalline SmNi2B2 at its relaxed geometry, as listed in Materials Project.

Unit cell a=5.022 b=5.022 c=6.798 alpha=120.49 beta=120.49 gamma=65.12
Positions (direct):
Sm 0.122 0.878 0.750
Sm 0.878 0.122 0.250
Ni 0.282 0.472 0.301
Ni 0.472 0.282 0.801
Ni 0.528 0.718 0.199
Ni 0.718 0.528 0.699
B 0.153 0.502 0.972
B 0.498 0.847 0.528
B 0.502 0.153 0.472
B 0.847 0.498 0.028

Calculated values
**Total magnetization**: 0.00 μB per atom
**Space-group type**: C2/c



6.
First-principles (r²SCAN) data for crystalline Tm2RuPt at its relaxed geometry, as listed in Materials Project.

Unit cell a=4.769 b=4.769 c=4.769 alpha=60.00 beta=60.00 gamma=60.00
Positions (direct):
Tm 0.250 0.250 0.250
Tm 0.750 0.750 0.750
Ru 0.000 0.000 0.000
Pt 0.500 0.500 0.500

Calculated values
**Total magnetization**: 0.00 μB per atom
**Space-group type**: Fm-3m



7.
First-principles (r²SCAN) data for crystalline Sr8Fe8O23 at its relaxed geometry, as listed in Materials Project.

Unit cell a=8.607 b=8.607 c=8.607 alpha=101.43 beta=101.43 gamma=127.14
Positions (direct):
Sr 0.000 0.250 0.250
Sr 0.000 0.750 0.750
Sr 0.241 0.500 0.741
Sr 0.250 0.000 0.250
Sr 0.500 0.241 0.741
Sr 0.500 0.759 0.259
Sr 0.750 0.000 0.750
Sr 0.759 0.500 0.259
Fe 0.000 0.000 0.500
Fe 0.000 0.500 0.000
Fe 0.248 0.248 0.000
Fe 0.250 0.750 0.500
Fe 0.500 0.000 0.000
Fe 0.500 0.500 0.500
Fe 0.750 0.250 0.500
Fe 0.752 0.752 0.000
O 0.000 0.000 0.000
O 0.000 0.500 0.500
O 0.126 0.626 0.252
O 0.126 0.874 0.500
O 0.156 0.156 0.760
O 0.156 0.396 0.000
O 0.239 0.239 0.479
O 0.239 0.761 0.000
O 0.374 0.626 0.500
O 0.374 0.874 0.748
O 0.396 0.156 0.000
O 0.396 0.396 0.240
O 0.500 0.000 0.500
O 0.604 0.604 0.760
O 0.604 0.844 0.000
O 0.626 0.126 0.252
O 0.626 0.374 0.500
O 0.761 0.239 0.000
O 0.761 0.761 0.521
O 0.844 0.604 0.000
O 0.844 0.844 0.240
O 0.874 0.126 0.500
O 0.874 0.374 0.748

Calculated values
**Total magnetization**: 0.86 μB per atom
**Space-group type**: I4/mmm



8.
First-principles (r²SCAN) data for crystalline Sc5Re8Si12 at its relaxed geometry, as listed in Materials Project.

Unit cell a=14.451 b=10.190 c=10.190 alpha=150.23 beta=90.00 gamma=90.00
Positions (direct):
Sc 0.000 0.000 0.000
Sc 0.173 0.578 0.850
Sc 0.173 0.850 0.578
Sc 0.325 0.076 0.344
Sc 0.325 0.344 0.076
Sc 0.500 0.476 0.476
Sc 0.675 0.076 0.344
Sc 0.675 0.344 0.076
Sc 0.827 0.578 0.850
Sc 0.827 0.850 0.578
Re 0.000 0.365 0.568
Re 0.000 0.568 0.365
Re 0.125 0.000 0.412
Re 0.125 0.412 0.000
Re 0.221 0.930 0.930
Re 0.269 0.438 0.438
Re 0.392 0.508 0.911
Re 0.392 0.911 0.508
Re 0.500 0.050 0.881
Re 0.500 0.881 0.050
Re 0.608 0.508 0.911
Re 0.608 0.911 0.508
Re 0.731 0.438 0.438
Re 0.779 0.930 0.930
Re 0.875 0.000 0.412
Re 0.875 0.412 0.000
Si 0.000 0.113 0.832
Si 0.000 0.322 0.763
Si 0.000 0.763 0.322
Si 0.000 0.832 0.113
Si 0.103 0.573 0.573
Si 0.146 0.140 0.302
Si 0.146 0.302 0.140
Si 0.258 0.210 0.710
Si 0.258 0.710 0.210
Si 0.351 0.637 0.793
Si 0.351 0.793 0.637
Si 0.378 0.087 0.087
Si 0.500 0.280 0.864
Si 0.500 0.321 0.584
Si 0.500 0.584 0.321
Si 0.500 0.864 0.280
Si 0.622 0.087 0.087
Si 0.649 0.637 0.793
Si 0.649 0.793 0.637
Si 0.742 0.210 0.710
Si 0.742 0.710 0.210
Si 0.854 0.140 0.302
Si 0.854 0.302 0.140
Si 0.897 0.573 0.573

Calculated values
**Total magnetization**: 0.00 μB per atom
**Space-group type**: Amm2



9.
First-principles (r²SCAN) data for crystalline ScRh2Pb at its relaxed geometry, as listed in Materials Project.

Unit cell a=4.605 b=4.605 c=4.605 alpha=60.00 beta=60.00 gamma=60.00
Positions (direct):
Sc 0.000 0.000 0.000
Rh 0.250 0.250 0.250
Rh 0.750 0.750 0.750
Pb 0.500 0.500 0.500

Calculated values
**Total magnetization**: 0.21 μB per atom
**Space-group type**: Fm-3m



10.
First-principles (r²SCAN) data for crystalline Ce3Zn at its relaxed geometry, as listed in Materials Project.

Unit cell a=5.711 b=5.711 c=5.711 alpha=132.11 beta=132.11 gamma=70.06
Positions (direct):
Ce 0.000 0.000 0.000
Ce 0.250 0.750 0.500
Ce 0.750 0.250 0.500
Zn 0.500 0.500 0.000

Calculated values
**Total magnetization**: 0.86 μB per atom
**Space-group type**: I4/mmm



11.
First-principles (r²SCAN) data for crystalline LiNbIr2 at its relaxed geometry, as listed in Materials Project.

Unit cell a=4.346 b=4.346 c=4.346 alpha=60.00 beta=60.00 gamma=60.00
Positions (direct):
Li 0.000 0.000 0.000
Nb 0.500 0.500 0.500
Ir 0.250 0.250 0.250
Ir 0.750 0.750 0.750

Calculated values
**Total magnetization**: 0.00 μB per atom
**Space-group type**: Fm-3m



12.
First-principles (r²SCAN) data for crystalline NaFe4Sb12 at its relaxed geometry, as listed in Materials Project.

Unit cell a=7.952 b=7.952 c=7.952 alpha=109.47 beta=109.47 gamma=109.47
Positions (direct):
Na 0.000 0.000 0.000
Fe 0.000 0.000 0.500
Fe 0.000 0.500 0.000
Fe 0.500 0.000 0.000
Fe 0.500 0.500 0.500
Sb 0.159 0.495 0.336
Sb 0.159 0.823 0.664
Sb 0.177 0.336 0.841
Sb 0.336 0.159 0.495
Sb 0.336 0.841 0.177
Sb 0.495 0.336 0.159
Sb 0.505 0.664 0.841
Sb 0.664 0.159 0.823
Sb 0.664 0.841 0.505
Sb 0.823 0.664 0.159
Sb 0.841 0.177 0.336
Sb 0.841 0.505 0.664

Calculated values
**Total magnetization**: 0.18 μB per atom
**Space-group type**: Im-3



Number 1: ΔE_f -2.151 eV per atom. Number 2: ΔE_f -0.219 eV per atom. Number 3: ΔE_f -1.678 eV per atom. Number 4: ΔE_f -0.367 eV per atom. Number 5: ΔE_f -0.548 eV per atom. Number 6: ΔE_f -0.962 eV per atom. Number 7: ΔE_f -2.306 eV per atom. Number 8: ΔE_f -0.648 eV per atom. Number 9: ΔE_f -0.638 eV per atom. Number 10: ΔE_f -0.082 eV per atom. Number 11: ΔE_f -0.566 eV per atom. Number 12: ΔE_f -0.002 eV per atom.